Record 1
Computed, not measured: MgSn after structural relaxation at the PBE level of DFT.

Structure (POSCAR):
```
MgSn
1.0
3.4635 4.1418 1.6209
-4.4865 -1.2946 3.1581
2.9651 -3.5573 2.7540
Mg Sn
3 3
direct
0.9995 0.3330 0.0000 Mg
0.3330 0.9995 0.0000 Mg
0.3333 0.3333 0.5000 Mg
0.6616 0.6616 0.0000 Sn
0.0053 0.6673 0.5000 Sn
0.6673 0.0053 0.5000 Sn
```

Calculated values
Magnetization   0.00 μB per atom
DFT formation energy   -51 meV per atom

=====

Record 2
Computed, not measured: Mg5Sn after structural relaxation at the PBE level of DFT.

Structure (POSCAR):
```
Mg5Sn
1.0
2.8270 -4.8966 0.0000
2.8270 4.8966 0.0000
0.0000 0.0000 5.0802
Mg Sn
5 1
direct
0.0000 0.3352 0.0000 Mg
0.6648 0.6648 0.0000 Mg
0.3352 0.0000 0.0000 Mg
0.6667 0.3333 0.5000 Mg
0.3333 0.6667 0.5000 Mg
0.0000 0.0000 0.5000 Sn
```

Calculated values
ΔE to the lowest computed polymorph   0.0058 eV/atom
DFT formation energy   -40 meV per atom

=====

Record 3
Computed, not measured: Mg5Sn after structural relaxation at the PBE level of DFT.

Structure (POSCAR):
```
Mg5Sn
1.0
1.6823 -8.0745 0.0000
1.6823 8.0745 0.0000
0.0000 0.0000 5.0548
Mg Sn
5 1
direct
0.0005 0.9995 0.0000 Mg
0.3330 0.6670 0.0000 Mg
0.6657 0.3343 0.0000 Mg
0.1109 0.8891 0.5000 Mg
0.4459 0.5541 0.5000 Mg
0.7773 0.2227 0.5000 Sn
```

Calculated values
Magnetization   0.00 μB per atom
ΔE to the lowest computed polymorph   0.0153 eV/atom
DFT formation energy   -31 meV per atom

=====

Record 4
Computed, not measured: Mg7Sn after structural relaxation at the PBE level of DFT.

Structure (POSCAR):
```
Mg7Sn
1.0
-4.3176 4.3678 -1.9141
-1.4628 -4.1122 4.7258
1.8291 3.3235 3.4581
Mg Sn
7 1
direct
0.8330 0.6661 0.0000 Mg
0.8330 0.1670 0.0000 Mg
0.3339 0.1670 0.0000 Mg
0.6723 0.8361 0.5000 Mg
0.1639 0.8361 0.5000 Mg
0.1639 0.3277 0.5000 Mg
0.6667 0.3333 0.5000 Mg
0.3333 0.6667 0.0000 Sn
```

Calculated values
DFT formation energy   -42 meV per atom

=====

Record 5
Computed, not measured: Mg3Sn after structural relaxation at the PBE level of DFT.

Structure (POSCAR):
```
Mg3Sn
1.0
10.9618 -0.0005 0.0002
-5.4813 9.4939 -0.0005
0.0000 -0.0002 5.2695
Mg Sn
18 6
direct
0.5016 0.8297 0.2510 Mg
0.3282 0.4984 0.2511 Mg
0.1702 0.6718 0.2510 Mg
0.4984 0.1703 0.7490 Mg
0.6718 0.5016 0.7490 Mg
0.8298 0.3282 0.7490 Mg
0.1682 0.1630 0.2510 Mg
0.9948 0.8317 0.2510 Mg
0.8369 0.0052 0.2510 Mg
0.8317 0.8370 0.7490 Mg
0.0052 0.1683 0.7490 Mg
0.1631 0.9948 0.7490 Mg
0.8349 0.4963 0.2509 Mg
0.6614 0.1650 0.2509 Mg
0.5037 0.3386 0.2509 Mg
0.1651 0.5037 0.7491 Mg
0.3386 0.8350 0.7491 Mg
0.4963 0.6614 0.7491 Mg
0.6667 0.6668 0.2520 Sn
0.0001 0.3332 0.2522 Sn
0.3331 0.9999 0.2522 Sn
0.3333 0.3332 0.7480 Sn
0.9999 0.6668 0.7479 Sn
0.6669 0.0001 0.7478 Sn
```

Calculated values
Magnetization   0.00 μB per atom
DFT formation energy   -112 meV per atom

=====

Record 6
Computed, not measured: MgSn after structural relaxation at the PBE level of DFT.

Structure (POSCAR):
```
MgSn
1.0
1.7005 -2.9454 0.0000
1.7005 2.9454 0.0000
0.0000 0.0000 4.9034
Mg Sn
1 1
direct
0.0000 0.0000 0.0000 Mg
0.6667 0.3333 0.5000 Sn
```

Calculated values
DFT formation energy   -78 meV per atom

=====

Record 7
Computed, not measured: Mg149Sn after structural relaxation at the PBE level of DFT.

Structure (POSCAR):
```
Mg149Sn
1.0
13.7987 -7.9667 0.0000
0.0000 15.9334 0.0000
0.0000 0.0000 15.5479
Mg Sn
149 1
direct
0.2016 0.0010 0.0000 Mg
0.7994 0.0010 0.0000 Mg
0.4000 0.2000 0.0000 Mg
0.8000 0.2000 0.0000 Mg
0.6000 0.2000 0.0000 Mg
0.9990 0.2006 0.0000 Mg
0.2016 0.2006 0.0000 Mg
0.1996 0.3991 0.0000 Mg
0.8000 0.4000 0.0000 Mg
0.6000 0.4000 0.0000 Mg
0.4003 0.4005 0.0000 Mg
0.0001 0.4005 0.0000 Mg
0.5995 0.5997 0.0000 Mg
0.0001 0.5997 0.0000 Mg
0.1999 0.6000 0.0000 Mg
0.4000 0.6000 0.0000 Mg
0.8000 0.6000 0.0000 Mg
0.9990 0.7984 0.0000 Mg
0.7994 0.7984 0.0000 Mg
0.4000 0.8001 0.0000 Mg
0.6009 0.8004 0.0000 Mg
0.1996 0.8004 0.0000 Mg
0.5995 0.9999 0.0000 Mg
0.4003 0.9999 0.0000 Mg
0.0663 0.3329 0.1663 Mg
0.2666 0.3329 0.1663 Mg
0.0663 0.7334 0.1663 Mg
0.6671 0.7334 0.1663 Mg
0.6671 0.9337 0.1663 Mg
0.2666 0.9337 0.1663 Mg
0.4668 0.1333 0.1664 Mg
0.6665 0.1333 0.1664 Mg
0.4668 0.3335 0.1664 Mg
0.8667 0.3335 0.1664 Mg
0.6665 0.5332 0.1664 Mg
0.8667 0.5332 0.1664 Mg
0.6667 0.3333 0.1666 Mg
0.2665 0.5331 0.1665 Mg
0.4669 0.7335 0.1665 Mg
0.2665 0.7335 0.1665 Mg
0.4666 0.5334 0.1665 Mg
0.0668 0.5334 0.1665 Mg
0.4666 0.9332 0.1665 Mg
0.8663 0.1337 0.1672 Mg
0.2674 0.1337 0.1672 Mg
0.8663 0.7326 0.1672 Mg
0.0668 0.1337 0.1678 Mg
0.8663 0.9332 0.1678 Mg
0.0668 0.9332 0.1678 Mg
0.1999 0.3998 0.3329 Mg
0.6002 0.8001 0.3329 Mg
0.1999 0.8001 0.3329 Mg
0.3999 0.0000 0.3331 Mg
0.6001 0.0000 0.3331 Mg
0.0000 0.3999 0.3331 Mg
0.3999 0.3999 0.3331 Mg
0.0000 0.6001 0.3331 Mg
0.6001 0.6001 0.3331 Mg
0.6000 0.2000 0.3331 Mg
0.6000 0.4000 0.3331 Mg
0.8000 0.4000 0.3331 Mg
0.0000 0.0000 0.3335 Mg
0.4001 0.2001 0.3332 Mg
0.7999 0.2001 0.3332 Mg
0.7999 0.5999 0.3332 Mg
0.2000 0.6000 0.3331 Mg
0.4000 0.6000 0.3331 Mg
0.4000 0.8000 0.3331 Mg
0.1998 0.0001 0.3338 Mg
0.8002 0.0001 0.3338 Mg
0.1998 0.1998 0.3338 Mg
0.9999 0.1998 0.3338 Mg
0.9999 0.8002 0.3338 Mg
0.8002 0.8002 0.3338 Mg
0.0666 0.1331 0.5000 Mg
0.6665 0.1331 0.5000 Mg
0.4666 0.1331 0.5000 Mg
0.8667 0.1333 0.5000 Mg
0.2665 0.1333 0.5000 Mg
0.2666 0.3332 0.5000 Mg
0.0666 0.3332 0.5000 Mg
0.6667 0.3333 0.5000 Mg
0.4666 0.3335 0.5000 Mg
0.8669 0.3335 0.5000 Mg
0.6665 0.5334 0.5000 Mg
0.8669 0.5334 0.5000 Mg
0.2665 0.5330 0.5000 Mg
0.4667 0.5333 0.5000 Mg
0.0666 0.5333 0.5000 Mg
0.2665 0.7335 0.5000 Mg
0.4670 0.7335 0.5000 Mg
0.8667 0.7335 0.5000 Mg
0.6668 0.7334 0.5000 Mg
0.0666 0.7334 0.5000 Mg
0.4667 0.9334 0.5000 Mg
0.2666 0.9334 0.5000 Mg
0.6668 0.9334 0.5000 Mg
0.0666 0.9334 0.5000 Mg
0.8669 0.9334 0.5000 Mg
0.1998 0.0001 0.6662 Mg
0.8002 0.0001 0.6662 Mg
0.1998 0.1998 0.6662 Mg
0.9999 0.1998 0.6662 Mg
0.9999 0.8002 0.6662 Mg
0.8002 0.8002 0.6662 Mg
0.2000 0.6000 0.6669 Mg
0.4000 0.6000 0.6669 Mg
0.4000 0.8000 0.6669 Mg
0.4001 0.2001 0.6668 Mg
0.7999 0.2001 0.6668 Mg
0.7999 0.5999 0.6668 Mg
0.0000 0.0000 0.6665 Mg
0.6000 0.2000 0.6669 Mg
0.6000 0.4000 0.6669 Mg
0.8000 0.4000 0.6669 Mg
0.3999 0.0000 0.6669 Mg
0.6001 0.0000 0.6669 Mg
0.0000 0.3999 0.6669 Mg
0.3999 0.3999 0.6669 Mg
0.0000 0.6001 0.6669 Mg
0.6001 0.6001 0.6669 Mg
0.1999 0.3998 0.6671 Mg
0.6002 0.8001 0.6671 Mg
0.1999 0.8001 0.6671 Mg
0.0668 0.1337 0.8322 Mg
0.8663 0.9332 0.8322 Mg
0.0668 0.9332 0.8322 Mg
0.8663 0.1337 0.8328 Mg
0.2674 0.1337 0.8328 Mg
0.8663 0.7326 0.8328 Mg
0.4666 0.5334 0.8335 Mg
0.0668 0.5334 0.8335 Mg
0.4666 0.9332 0.8335 Mg
0.2665 0.5331 0.8335 Mg
0.4669 0.7335 0.8335 Mg
0.2665 0.7335 0.8335 Mg
0.6667 0.3333 0.8334 Mg
0.4668 0.1333 0.8336 Mg
0.6665 0.1333 0.8336 Mg
0.4668 0.3335 0.8336 Mg
0.8667 0.3335 0.8336 Mg
0.6665 0.5332 0.8336 Mg
0.8667 0.5332 0.8336 Mg
0.0663 0.3329 0.8337 Mg
0.2666 0.3329 0.8337 Mg
0.0663 0.7334 0.8337 Mg
0.6671 0.7334 0.8337 Mg
0.6671 0.9337 0.8337 Mg
0.2666 0.9337 0.8337 Mg
0.0000 0.0000 0.0000 Sn
```

Calculated values
Magnetization   0.00 μB per atom
DFT formation energy   -30 meV per atom

=====

Record 8
Computed, not measured: MgSn after structural relaxation at the PBE level of DFT.

Structure (POSCAR):
```
MgSn
1.0
1.8549 -7.6954 0.0000
1.8549 7.6954 0.0000
0.0000 0.0000 5.2107
Mg Sn
3 3
direct
0.3326 0.6674 0.0000 Mg
0.1088 0.8912 0.5000 Mg
0.7816 0.2184 0.5000 Mg
0.9939 0.0061 0.0000 Sn
0.6734 0.3266 0.0000 Sn
0.4430 0.5570 0.5000 Sn
```

Calculated values
DFT formation energy   -71 meV per atom

=====

Record 9
Computed, not measured: Mg3Sn after structural relaxation at the PBE level of DFT.

Structure (POSCAR):
```
Mg3Sn
1.0
-2.4010 0.9772 3.6686
2.6745 -2.6454 2.4551
2.6945 3.4965 0.8322
Mg Sn
3 1
direct
0.5000 0.5000 0.0000 Mg
0.5000 0.0000 0.5000 Mg
0.0000 0.5000 0.5000 Mg
0.0000 0.0000 0.0000 Sn
```

Calculated values
DFT formation energy   -139 meV per atom

=====

Record 10
Computed, not measured: MgSn after structural relaxation at the PBE level of DFT.

Structure (POSCAR):
```
MgSn
1.0
1.6983 -7.8799 0.0000
1.6983 7.8799 0.0000
0.0000 0.0000 5.5904
Mg Sn
3 3
direct
0.0001 0.9999 0.0000 Mg
0.6656 0.3344 0.0000 Mg
0.1110 0.8890 0.5000 Mg
0.3349 0.6651 0.0000 Sn
0.4520 0.5480 0.5000 Sn
0.7698 0.2302 0.5000 Sn
```

Calculated values
Magnetization   0.00 μB per atom
DFT formation energy   13 meV per atom

=====

Record 11
Computed, not measured: Mg5Sn after structural relaxation at the PBE level of DFT.

Structure (POSCAR):
```
Mg5Sn
1.0
2.1324 -0.2435 -5.7985
4.6758 -1.2923 -3.8335
-1.2927 -6.7668 -1.9385
Mg Sn
5 1
direct
0.9971 0.9971 0.0047 Mg
0.3313 0.3313 0.3346 Mg
0.9457 0.9457 0.6047 Mg
0.6689 0.6689 0.6691 Mg
0.2797 0.2797 0.9428 Mg
0.6106 0.6106 0.2773 Sn
```

Calculated values
Magnetization   0.00 μB per atom
ΔE to the lowest computed polymorph   0.0519 eV/atom
DFT formation energy   6 meV per atom

=====

Record 12
Computed, not measured: MgSn after structural relaxation at the PBE level of DFT.

Structure (POSCAR):
```
MgSn
1.0
-5.3257 -1.1234 -2.3082
-4.3488 -3.9180 -0.8308
-3.5229 0.8779 3.9898
Mg Sn
2 2
direct
0.3744 0.3744 0.7914 Mg
0.6256 0.6256 0.2086 Mg
0.1190 0.1190 0.7203 Sn
0.8810 0.8810 0.2797 Sn
```

Calculated values
DFT formation energy   -109 meV per atom